1.
Material: La2Mg
Method: DFT, PBE
State: relaxed

Unit cell a=13.232 b=3.933 c=7.968 alpha=90.00 beta=106.58 gamma=90.00
Space group C2/m (No. 12)
Symmetry-distinct sites (fractional):
La (0.146, 0.000, 0.057) [4 per cell]
La (0.167, 0.000, 0.597) [4 per cell]
Mg (0.012, 0.500, 0.276) [4 per cell]

---

2.
Material: La2Mg
Method: DFT, PBE
State: relaxed

Unit cell a=6.2166 b=6.2166 c=17.6813 alpha=90.00 beta=90.00 gamma=120.00
Space group R32 (No. 155, hexagonal axes)
Symmetry-distinct sites (fractional):
La (0.0000, 0.0000, 0.0000) [3 per cell]
La (0.0000, 0.6780, 0.5000) [9 per cell]
Mg (0.0000, 0.0000, 0.3326) [6 per cell]

---

3.
Material: La2Mg
Method: DFT, PBE
State: relaxed

Unit cell a=10.917 b=6.248 c=5.669 alpha=90.00 beta=90.00 gamma=90.00
Space group Cmcm (No. 63)
Symmetry-distinct sites (fractional):
La (0.153, 0.169, 0.250) [8 per cell]
Mg (0.000, 0.341, 0.750) [4 per cell]

---

4.
Material: La2Mg
Method: DFT, PBE
State: relaxed

Unit cell a=10.763 b=6.245 c=6.761 alpha=90.00 beta=121.86 gamma=90.00
Space group C2/c (No. 15)
Symmetry-distinct sites (fractional):
La (0.168, 0.083, 0.252) [8 per cell]
Mg (0.000, 0.418, 0.750) [4 per cell]

---

What should be chosen as the most stable of them? Choose 1.

---

1.
Material: La2Mg
Method: DFT, PBE
State: relaxed

Unit cell a=3.645 b=18.548 c=5.750 alpha=90.00 beta=90.00 gamma=90.00
Space group Cmcm (No. 63)
Symmetry-distinct sites (fractional):
La (0.000, 0.056, 0.250) [4 per cell]
La (0.000, 0.275, 0.750) [4 per cell]
Mg (0.000, 0.389, 0.250) [4 per cell]

---

2.
Material: La2Mg
Method: DFT, PBE
State: relaxed

Unit cell a=12.480 b=3.741 c=8.917 alpha=90.00 beta=110.44 gamma=90.00
Space group C2/m (No. 12)
Symmetry-distinct sites (fractional):
La (0.019, 0.000, 0.242) [4 per cell]
La (0.171, 0.500, 0.619) [4 per cell]
Mg (0.173, 0.500, 0.051) [4 per cell]

---

What should be chosen as the most stable of them? Choose 2.

---

1.
Material: LaMg14Mo
Method: DFT, PBE
State: relaxed

Unit cell a=10.444 b=6.080 c=11.503 alpha=90.00 beta=90.00 gamma=90.00
Space group Amm2 (No. 38)
Symmetry-distinct sites (fractional):
La (0.000, 0.000, 0.000) [2 per cell]
Mg (0.000, 0.245, 0.250) [4 per cell]
Mg (0.233, 0.000, 0.649) [4 per cell]
Mg (0.251, 0.242, 0.407) [8 per cell]
Mg (0.263, 0.000, 0.160) [4 per cell]
Mg (0.500, 0.000, 0.496) [2 per cell]
Mg (0.500, 0.000, 0.993) [2 per cell]
Mg (0.500, 0.247, 0.746) [4 per cell]
Mo (0.000, 0.000, 0.492) [2 per cell]

---

2.
Material: LaMg14Mo
Method: DFT, PBE
State: relaxed

Unit cell a=6.4937 b=6.4937 c=10.1715 alpha=90.00 beta=90.00 gamma=120.00
Space group P-6m2 (No. 187)
Symmetry-distinct sites (fractional):
La (0.0000, 0.0000, 0.0000) [1 per cell]
Mg (0.0126, 0.5063, 0.0000) [3 per cell]
Mg (0.1651, 0.3302, 0.2666) [6 per cell]
Mg (0.5014, 0.0028, 0.5000) [3 per cell]
Mg (0.6667, 0.3333, 0.2422) [2 per cell]
Mo (0.0000, 0.0000, 0.5000) [1 per cell]

---

What should be chosen as the most stable of them? Choose 1.

---

1.
Material: NaLaMg6O8
Method: DFT, PBE
State: relaxed

Unit cell a=4.517 b=4.517 c=9.089 alpha=90.00 beta=90.00 gamma=90.00
Space group P4/mmm (No. 123)
Symmetry-distinct sites (fractional):
Na (0.000, 0.000, 0.000) [1 per cell]
La (0.000, 0.000, 0.500) [1 per cell]
Mg (0.000, 0.500, 0.222) [4 per cell]
Mg (0.500, 0.500, 0.000) [1 per cell]
Mg (0.500, 0.500, 0.500) [1 per cell]
O (0.000, 0.000, 0.243) [2 per cell]
O (0.000, 0.500, 0.000) [2 per cell]
O (0.000, 0.500, 0.500) [2 per cell]
O (0.500, 0.500, 0.251) [2 per cell]

---

2.
Material: NaLaMg6O8
Method: DFT, PBE
State: relaxed

Unit cell a=4.510 b=4.510 c=9.014 alpha=90.00 beta=90.00 gamma=90.00
Space group P4/mmm (No. 123)
Symmetry-distinct sites (fractional):
Na (0.000, 0.000, 0.000) [1 per cell]
La (0.500, 0.500, 0.000) [1 per cell]
Mg (0.000, 0.000, 0.500) [1 per cell]
Mg (0.000, 0.500, 0.270) [4 per cell]
Mg (0.500, 0.500, 0.500) [1 per cell]
O (0.000, 0.000, 0.271) [2 per cell]
O (0.000, 0.500, 0.000) [2 per cell]
O (0.000, 0.500, 0.500) [2 per cell]
O (0.500, 0.500, 0.273) [2 per cell]

---

What should be chosen as the most stable of them? Choose 2.